# 1
NdGe2Ru2: relaxed, PBE.

The space group is I4/mmm (No. 139) and the conventional cell measures 4.3000, 4.3000 and 10.1056 Å, with angles of 90.00, 90.00 and 90.00 degrees. The inequivalent atoms are Nd at (0.0000, 0.0000, 0.0000), Ge at (0.0000, 0.0000, 0.3673) and Ru at (0.0000, 0.5000, 0.2500).

As for the energy: -7.173 eV/atom. The calculation puts the formation energy at -319 kJ/mol of formula units.

---

# 2
Nd10Si3Ge3: relaxed, PBE.

The space group is P-62m (No. 189) and the conventional cell measures 8.8393, 8.8393 and 6.6827 Å, with angles of 90.00, 90.00 and 120.00 degrees. The inequivalent atoms are Nd at (0.0000, 0.2449, 0.0000), Nd at (0.0000, 0.7550, 0.5000), Nd at (0.3333, 0.6667, 0.2529), Si at (0.0000, 0.3936, 0.5000) and Ge at (0.0000, 0.6061, 0.0000).

As for the energy: -5.496 eV/atom. The calculation puts the formation energy at -975 kJ/mol of formula units. The total moment comes out at 0.05 Bohr magnetons per cell.

---

# 3
NdTiGe: relaxed, PBE.

The space group is P4/nmm (No. 129, origin choice 2) and the conventional cell measures 4.1366, 4.1366 and 7.9239 Å, with angles of 90.00, 90.00 and 90.00 degrees. The inequivalent atoms are Nd at (0.2500, 0.2500, 0.1533), Ti at (0.2500, 0.7500, 0.5000) and Ge at (0.2500, 0.2500, 0.7266).

As for the energy: -6.391 eV/atom. The calculation puts the formation energy at -182 kJ/mol of formula units.